Record 1
{"formula": "Cs3Ge2Sb3O13", "functional": "GGA-PBE", "state": "optimized geometry", "ef_ev_per_atom": -2.07, "lattice_angstrom": [[5.4636, 4.3746, -2.4584], [-6.5522, 2.9444, 1.8522], [5.4374, 2.1225, 15.8610]], "species": ["Cs", "Cs", "Cs", "Cs", "Cs", "Cs", "O", "O", "O", "O", "O", "O", "O", "O", "O", "O", "O", "O", "O", "O", "O", "O", "O", "O", "O", "O", "O", "O", "O", "O", "O", "O", "Ge", "Ge", "Ge", "Ge", "Sb", "Sb", "Sb", "Sb", "Sb", "Sb"], "fractional_positions": [[0.3312, 0.6688, 0.2500], [0.0068, 0.9932, 0.6131], [0.0068, 0.9932, 0.8869], [0.9932, 0.0068, 0.1131], [0.6688, 0.3312, 0.7500], [0.9932, 0.0068, 0.3869], [0.4031, 0.2019, 0.9786], [0.2006, 0.7994, 0.0216], [0.7981, 0.5969, 0.5214], [0.7994, 0.2006, 0.9784], [0.5346, 0.0675, 0.3816], [0.5969, 0.7981, 0.4786], [0.7994, 0.2006, 0.5216], [0.6715, 0.3285, 0.2500], [0.2006, 0.7994, 0.4784], [0.5335, 0.4665, 0.3809], [0.0675, 0.5346, 0.8816], [0.9325, 0.4654, 0.3816], [0.4654, 0.9325, 0.6184], [0.4654, 0.9325, 0.8816], [0.4665, 0.5335, 0.8809], [0.5346, 0.0675, 0.1184], [0.7981, 0.5969, 0.9786], [0.4031, 0.2019, 0.5214], [0.4665, 0.5335, 0.6191], [0.9325, 0.4654, 0.1184], [0.0675, 0.5346, 0.6184], [0.5969, 0.7981, 0.0214], [0.5335, 0.4665, 0.1191], [0.2019, 0.4031, 0.4786], [0.3285, 0.6715, 0.7500], [0.2019, 0.4031, 0.0214], [0.6667, 0.3333, 0.3532], [0.6667, 0.3333, 0.1468], [0.3333, 0.6667, 0.8532], [0.3333, 0.6667, 0.6468], [0.0000, 0.5000, 0.5000], [0.5000, 0.0000, 0.5000], [0.5000, 0.0000, 0.0000], [0.0000, 0.5000, 0.0000], [0.5000, 0.5000, 0.0000], [0.5000, 0.5000, 0.5000]]}

Record 2
{"formula": "Ag", "functional": "GGA-PBE", "state": "optimized geometry", "de_polymorph_mev_per_atom": 8, "ef_ev_per_atom": 0.01, "lattice_angstrom": [[-2.9073, 0.3252, 0.4000], [1.0102, -1.9697, -1.9540], [0.0968, -3.3535, 3.4305]], "species": ["Ag", "Ag"], "fractional_positions": [[0.6667, 0.3333, 0.7500], [0.3333, 0.6667, 0.2500]]}

Record 3
{"formula": "Y3AlFeS7", "functional": "GGA-PBE", "state": "optimized geometry", "ef_ev_per_atom": -1.85, "lattice_angstrom": [[4.7585, -8.2420, 0.0000], [4.7585, 8.2420, 0.0000], [0.0000, 0.0000, 6.1960]], "species": ["Y", "Y", "Y", "Y", "Y", "Y", "S", "S", "S", "S", "S", "S", "S", "S", "S", "S", "S", "S", "S", "S", "Al", "Al", "Fe", "Fe"], "fractional_positions": [[0.2216, 0.3745, 0.2772], [0.1529, 0.7784, 0.2772], [0.7784, 0.6255, 0.7772], [0.3745, 0.1529, 0.7772], [0.8471, 0.2216, 0.7772], [0.6255, 0.8471, 0.2772], [0.0889, 0.5189, 0.0040], [0.3333, 0.6667, 0.4888], [0.5189, 0.4300, 0.5040], [0.7848, 0.9083, 0.6745], [0.9083, 0.1235, 0.1745], [0.8765, 0.7848, 0.1745], [0.9111, 0.4811, 0.5040], [0.5700, 0.0889, 0.5040], [0.2152, 0.0917, 0.1745], [0.4300, 0.9111, 0.0040], [0.6667, 0.3333, 0.9888], [0.1235, 0.2152, 0.6745], [0.4811, 0.5700, 0.0040], [0.0917, 0.8765, 0.6745], [0.3333, 0.6667, 0.8498], [0.6667, 0.3333, 0.3498], [0.0000, 0.0000, 0.4291], [0.0000, 0.0000, 0.9291]]}

Record 4
{"formula": "TbY3", "functional": "GGA-PBE", "state": "optimized geometry", "ef_ev_per_atom": 0.03, "lattice_angstrom": [[-2.5299, 2.5299, 5.0791], [2.5299, -2.5299, 5.0791], [2.5299, 2.5299, -5.0791]], "species": ["Tb", "Y", "Y", "Y"], "fractional_positions": [[0.0000, 0.0000, 0.0000], [0.7500, 0.2500, 0.5000], [0.2500, 0.7500, 0.5000], [0.5000, 0.5000, 0.0000]]}

Record 5
{"formula": "Mg6GaW", "functional": "GGA-PBE", "state": "optimized geometry", "de_polymorph_mev_per_atom": 0, "ef_ev_per_atom": 0.22, "lattice_angstrom": [[-1.3674, -3.8640, 2.5683], [5.8159, -2.0516, 0.0100], [1.8460, 5.2767, 8.9219]], "species": ["Mg", "Mg", "Mg", "Mg", "Mg", "Mg", "Mg", "Mg", "Mg", "Mg", "Mg", "Mg", "Ga", "Ga", "W", "W"], "fractional_positions": [[0.5000, 0.2361, 0.9112], [0.5000, 0.7361, 0.4112], [0.0000, 0.7534, 0.5824], [0.5000, 0.5000, 0.6663], [0.5000, 0.0000, 0.1663], [0.0000, 0.5000, 0.8339], [0.0000, 0.7466, 0.0824], [0.5000, 0.2639, 0.4112], [0.0000, 0.2534, 0.0824], [0.5000, 0.7639, 0.9112], [0.0000, 0.2466, 0.5824], [0.0000, 0.0000, 0.3339], [0.5000, 0.0000, 0.6844], [0.5000, 0.5000, 0.1844], [0.0000, 0.5000, 0.3281], [0.0000, 0.0000, 0.8281]]}

Record 6
{"formula": "Cs2ZrI6", "functional": "GGA-PBE", "state": "optimized geometry", "ef_ev_per_atom": -1.51, "lattice_angstrom": [[0.0000, 6.0427, 6.0427], [6.0427, 0.0000, 6.0427], [6.0427, 6.0427, 0.0000]], "species": ["Cs", "Cs", "I", "I", "I", "I", "I", "I", "Zr"], "fractional_positions": [[0.2500, 0.2500, 0.2500], [0.7500, 0.7500, 0.7500], [0.7616, 0.2384, 0.2384], [0.2384, 0.7616, 0.7616], [0.7616, 0.2384, 0.7616], [0.2384, 0.2384, 0.7616], [0.2384, 0.7616, 0.2384], [0.7616, 0.7616, 0.2384], [0.0000, 0.0000, 0.0000]]}

Record 7
{"formula": "Mg6NbAlO8", "functional": "GGA-PBE", "state": "optimized geometry", "de_polymorph_mev_per_atom": 0, "ef_ev_per_atom": -2.61, "lattice_angstrom": [[-6.0294, 1.8319, -5.9552], [-3.0628, -0.1639, 3.0505], [0.5320, 4.2251, 0.7611]], "species": ["O", "O", "O", "O", "O", "O", "O", "O", "Mg", "Mg", "Mg", "Mg", "Mg", "Mg", "Nb", "Al"], "fractional_positions": [[0.7504, 0.5000, 0.5000], [0.2496, 0.5000, 0.5000], [0.0000, 0.5000, 0.0000], [0.0000, 0.0000, 0.5000], [0.5000, 0.0000, 0.5000], [0.2129, 0.0000, 0.0000], [0.7871, 0.0000, 0.0000], [0.5000, 0.5000, 0.0000], [0.7485, 0.0000, 0.5000], [0.0000, 0.5000, 0.5000], [0.7485, 0.5000, 0.0000], [0.2515, 0.5000, 0.0000], [0.5000, 0.5000, 0.5000], [0.2515, 0.0000, 0.5000], [0.5000, 0.0000, 0.0000], [0.0000, 0.0000, 0.0000]]}

Record 8
{"formula": "LaP3H3O10", "functional": "GGA-PBE", "state": "optimized geometry", "ef_ev_per_atom": -1.94, "lattice_angstrom": [[7.2378, 0.0000, 0.0000], [1.7335, 8.3074, 0.0000], [3.1890, 3.3678, 8.2680]], "species": ["P", "P", "P", "P", "P", "P", "O", "O", "O", "O", "O", "O", "O", "O", "O", "O", "O", "O", "O", "O", "O", "O", "O", "O", "O", "O", "H", "H", "H", "H", "H", "H", "La", "La"], "fractional_positions": [[0.0435, 0.8894, 0.8373], [0.8524, 0.5521, 0.7282], [0.9565, 0.1106, 0.1627], [0.4562, 0.7884, 0.4261], [0.1476, 0.4479, 0.2718], [0.5438, 0.2116, 0.5739], [0.3517, 0.9619, 0.4004], [0.0183, 0.5224, 0.8057], [0.7843, 0.2418, 0.1245], [0.9817, 0.4776, 0.1943], [0.6483, 0.0381, 0.5996], [0.4544, 0.6536, 0.5899], [0.6501, 0.5623, 0.8528], [0.5904, 0.2041, 0.9007], [0.8473, 0.8056, 0.9230], [0.1460, 0.5903, 0.3336], [0.5760, 0.7344, 0.2867], [0.5456, 0.3464, 0.4101], [0.1527, 0.1944, 0.0770], [0.2157, 0.7582, 0.8755], [0.8540, 0.4097, 0.6664], [0.0387, 0.0577, 0.8692], [0.4240, 0.2656, 0.7133], [0.9613, 0.9423, 0.1308], [0.4096, 0.7959, 0.0993], [0.3499, 0.4377, 0.1472], [0.9292, 0.0379, 0.3322], [0.1268, 0.2869, 0.4033], [0.8732, 0.7131, 0.5967], [0.0708, 0.9621, 0.6678], [0.7176, 0.2455, 0.8146], [0.2824, 0.7545, 0.1854], [0.6709, 0.5440, 0.1205], [0.3291, 0.4560, 0.8795]]}